No. 1
Computed, not measured: a geometry-optimized Ca5Cu2Ir2O12 structure at the PBE level of DFT.

abc: 6.5372 6.5482 6.5690
angles: 90.76 91.88 91.11
Closest atoms and distances in Å follow each position.
Element x y z (fractional)
Ca (0.4122, 0.2443, 0.6015)  4 O 2.35-2.52
Ca (0.6028, 0.7592, 0.4054)  4 O 2.33-2.45
Ca (0.2560, 0.3794, 0.1052)  6 O 2.35-2.61
Ca (0.7468, 0.6157, 0.8884)  6 O 2.36-2.63
Ca (0.1061, 0.8843, 0.2642)  5 O 2.33-2.58
Cu (0.1860, 0.7609, 0.8073)  4 O 1.97-2.06
Cu (0.8121, 0.2468, 0.1808)  4 O 1.97-2.04
Ir (0.5044, 0.9984, 0.9983)  6 O 1.95-2.03
Ir (0.9984, 0.4911, 0.5024)  6 O 1.98-2.04
O (0.1043, 0.4689, 0.7907)  1 Cu 1.98, 1 Ir 2.00
O (0.2175, 0.0449, 0.9094)  1 Cu 1.97, 1 Ir 1.98
O (0.9039, 0.5449, 0.2089)  1 Cu 2.04, 1 Ir 2.04
O (0.7871, 0.9489, 0.1141)  1 Cu 2.00, 1 Ir 2.01
O (0.9677, 0.7809, 0.5943)  1 Cu 1.97, 1 Ir 2.00
O (0.4030, 0.7090, 0.0344)  1 Ir 2.02, 1 Cu 2.06
O (0.0359, 0.2115, 0.3853)  1 Cu 1.97, 1 Ir 2.00
O (0.5852, 0.2962, 0.9719)  1 Ir 2.02, 1 Cu 2.02
O (0.2851, 0.5598, 0.4245)  1 Ir 2.00
O (0.5627, 0.9249, 0.7171)  1 Ir 1.95
O (0.7079, 0.4493, 0.5689)  1 Ir 1.98
O (0.4251, 0.0631, 0.2872)  1 Ir 2.03

Properties
As for the crystal system: triclinic. The energy relative to the elements comes out at -2.138 eV per atom. As for the space-group type: P1, No. 1.

---

No. 2
Computed, not measured: a geometry-optimized Ca2CuIrO6 structure at the PBE level of DFT.

abc: 5.6342 5.4209 9.4009
angles: 54.93 90.00 90.00
Closest atoms and distances in Å follow each position.
Element x y z (fractional)
Ca (0.5605, 0.7352, 0.7500)  6 O 2.31-2.57
Ca (0.0605, 0.2648, 0.7500)  6 O 2.31-2.57
Ca (0.9395, 0.7352, 0.2500)  6 O 2.31-2.57
Ca (0.4395, 0.2648, 0.2500)  6 O 2.31-2.57
Cu (0.0000, 0.0000, 0.5000)  6 O 2.06-2.11
Cu (0.5000, 0.0000, 0.0000)  6 O 2.06-2.11
Ir (0.0000, 0.5000, 0.0000)  6 O 1.96-1.97
Ir (0.5000, 0.5000, 0.5000)  6 O 1.96-1.97
O (0.0341, 0.1572, 0.2427)  1 Ir 1.96, 1 Cu 2.06
O (0.3083, 0.7419, 0.5507)  1 Ir 1.96, 1 Cu 2.11
O (0.2905, 0.3668, 0.9470)  1 Ir 1.97, 1 Cu 2.11
O (0.7905, 0.6332, 0.5530)  1 Ir 1.97, 1 Cu 2.11
O (0.8083, 0.2581, 0.9493)  1 Ir 1.96, 1 Cu 2.11
O (0.5341, 0.8428, 0.2573)  1 Ir 1.96, 1 Cu 2.06
O (0.4659, 0.1572, 0.7427)  1 Ir 1.96, 1 Cu 2.06
O (0.1917, 0.7419, 0.0507)  1 Ir 1.96, 1 Cu 2.11
O (0.2095, 0.3668, 0.4470)  1 Ir 1.97, 1 Cu 2.11
O (0.6917, 0.2581, 0.4493)  1 Ir 1.96, 1 Cu 2.11
O (0.7095, 0.6332, 0.0530)  1 Ir 1.97, 1 Cu 2.11
O (0.9659, 0.8428, 0.7573)  1 Ir 1.96, 1 Cu 2.06

Properties
As for the crystal system: monoclinic. The energy relative to the elements comes out at -2.019 eV per atom. As for the space-group type: P2_1/c, No. 14.

---

No. 3
Computed, not measured: a geometry-optimized Ca2CuIrO6 structure at the PBE level of DFT.

abc: 6.5005 6.5005 6.4870
angles: 88.40 88.40 92.11
Closest atoms and distances in Å follow each position.
Element x y z (fractional)
Ca (0.6007, 0.3993, 0.0000)  6 O 2.39-2.61
Ca (0.4057, 0.5943, 0.5000)  4 O 2.34-2.51
Ca (0.7401, 0.8890, 0.1254)  6 O 2.32-2.58
Ca (0.1110, 0.2599, 0.8746)  6 O 2.32-2.58
Cu (0.8364, 0.1636, 0.5000)  4 O 1.90-1.94
Cu (0.1867, 0.8133, 0.0000)  4 O 1.92
Ir (0.4975, 0.9997, 0.7380)  6 O 1.94-2.07
Ir (0.0003, 0.5025, 0.2620)  6 O 1.94-2.07
O (0.8814, 0.2105, 0.2051)  1 Cu 1.94, 1 Ir 2.07
O (0.7895, 0.1186, 0.7949)  1 Cu 1.94, 1 Ir 2.07
O (0.1069, 0.7875, 0.2868)  1 Cu 1.92, 1 Ir 1.97
O (0.2125, 0.8931, 0.7132)  1 Cu 1.92, 1 Ir 1.97
O (0.0272, 0.3861, 0.5428)  1 Cu 1.90, 1 Ir 1.97
O (0.6139, 0.9728, 0.4572)  1 Cu 1.90, 1 Ir 1.97
O (0.9710, 0.6084, 0.9680)  1 Cu 1.92, 1 Ir 2.03
O (0.3916, 0.0290, 0.0320)  1 Cu 1.92, 1 Ir 2.03
O (0.7086, 0.5732, 0.3006)  1 Ir 1.98
O (0.4268, 0.2914, 0.6994)  1 Ir 1.98
O (0.2773, 0.4349, 0.1784)  1 Ir 1.94
O (0.5651, 0.7227, 0.8216)  1 Ir 1.94

Properties
As for the crystal system: monoclinic. The energy relative to the elements comes out at -1.918 eV per atom. As for the space-group type: C2, No. 5.

---

No. 4
Computed, not measured: a geometry-optimized Ca2La2Cu3O8 structure at the PBE level of DFT.

abc: 13.4749 13.4749 13.4749
angles: 163.33 163.33 23.66
Closest atoms and distances in Å follow each position.
Element x y z (fractional)
Ca (0.2960, 0.2960, 0.0000)  1 O 2.17
Ca (0.7040, 0.7040, 0.0000)  1 O 2.17
La (0.4315, 0.4315, 0.0000)  8 O 2.42-2.66
La (0.5685, 0.5685, 0.0000)  8 O 2.42-2.66
Cu (0.1370, 0.1370, 0.0000)  5 O 1.99-2.02
Cu (0.8630, 0.8630, 0.0000)  5 O 1.99-2.02
Cu (0.0000, 0.0000, 0.0000)  4 O 1.95
O (0.2136, 0.2136, 0.0000)  1 Cu 2.02, 1 Ca 2.17
O (0.7864, 0.7864, 0.0000)  1 Cu 2.02, 1 Ca 2.17
O (0.6227, 0.1227, 0.5000)  2 Cu 1.99
O (0.3773, 0.8773, 0.5000)  2 Cu 1.99
O (0.1227, 0.6227, 0.5000)  2 Cu 1.99
O (0.8773, 0.3773, 0.5000)  2 Cu 1.99
O (0.5000, 0.0000, 0.5000)  2 Cu 1.95
O (0.0000, 0.5000, 0.5000)  2 Cu 1.95

Properties
As for the crystal system: tetragonal. The energy relative to the elements comes out at -2.429 eV per atom. As for the space-group type: I4/mmm, No. 139.

---

No. 5
Computed, not measured: a geometry-optimized Sr4CaLaTl2Cu4O14 structure at the PBE level of DFT.

abc: 12.9005 12.9005 12.9005
angles: 155.72 155.72 34.60
Closest atoms and distances in Å follow each position.
Element x y z (fractional)
Sr (0.1483, 0.1483, 0.0000)  5 O 2.51-2.74
Sr (0.6463, 0.6463, 0.0000)  9 O 2.55-2.78
Sr (0.8517, 0.8517, 0.0000)  5 O 2.51-2.74
Sr (0.3537, 0.3537, 0.0000)  9 O 2.55-2.78
Ca (0.5000, 0.5000, 0.0000)  8 O 2.48
La (0.0000, 0.0000, 0.0000)  8 O 2.50
Tl (0.2500, 0.7500, 0.5000)  2 O 2.12
Tl (0.7500, 0.2500, 0.5000)  2 O 2.12
Cu (0.5715, 0.0715, 0.5000)  4 O 1.93
Cu (0.0715, 0.5715, 0.5000)  4 O 1.93
Cu (0.4285, 0.9285, 0.5000)  4 O 1.93
Cu (0.9285, 0.4285, 0.5000)  4 O 1.93
O (0.6639, 0.1639, 0.5000)  1 Tl 2.12, 1 Cu 2.28
O (0.1639, 0.6639, 0.5000)  1 Tl 2.12, 1 Cu 2.28
O (0.3361, 0.8361, 0.5000)  1 Tl 2.12, 1 Cu 2.28
O (0.8361, 0.3361, 0.5000)  1 Tl 2.12, 1 Cu 2.28
O (0.8130, 0.8130, 0.4971)  2 Cu 1.93
O (0.3159, 0.3159, 0.5029)  2 Cu 1.93
O (0.8130, 0.3159, 0.0000)  2 Cu 1.93
O (0.3159, 0.8130, 0.0000)  2 Cu 1.93
O (0.6841, 0.6841, 0.4971)  2 Cu 1.93
O (0.1870, 0.1870, 0.5029)  2 Cu 1.93
O (0.6841, 0.1870, 0.0000)  2 Cu 1.93
O (0.1870, 0.6841, 0.0000)  2 Cu 1.93
O (0.7498, 0.7498, 0.0000)  2 Sr 2.51-2.55, 4 Tl 2.71
O (0.2502, 0.2502, 0.0000)  2 Sr 2.51-2.55, 4 Tl 2.71

Properties
As for the crystal system: tetragonal. The energy relative to the elements comes out at -2.143 eV per atom. As for the space-group type: I4/mmm, No. 139.

---

No. 6
Computed, not measured: a geometry-optimized Ca2La2Ti3CuO12 structure at the PBE level of DFT.

abc: 3.8888 3.8888 15.8893
angles: 90.00 90.00 90.00
Closest atoms and distances in Å follow each position.
Element x y z (fractional)
Ca (0.5000, 0.5000, 0.6231)  12 O 2.75-2.78
Ca (0.5000, 0.5000, 0.3769)  12 O 2.75-2.78
La (0.5000, 0.5000, 0.8852)  12 O 2.67-2.92
La (0.5000, 0.5000, 0.1148)  12 O 2.67-2.92
Ti (0.0000, 0.0000, 0.7472)  6 O 1.91-1.97
Ti (0.0000, 0.0000, 0.2528)  6 O 1.91-1.97
Ti (0.0000, 0.0000, 0.5000)  6 O 1.94-1.96
Cu (0.0000, 0.0000, 0.0000)  6 O 1.94-2.11
O (0.0000, 0.0000, 0.8675)  1 Ti 1.91, 1 Cu 2.11
O (0.0000, 0.0000, 0.1325)  1 Ti 1.91, 1 Cu 2.11
O (0.5000, 0.0000, 0.7485)  2 Ti 1.94
O (0.0000, 0.5000, 0.7485)  2 Ti 1.94
O (0.5000, 0.0000, 0.2515)  2 Ti 1.94
O (0.0000, 0.5000, 0.2515)  2 Ti 1.94
O (0.5000, 0.0000, 0.0000)  2 Cu 1.94
O (0.0000, 0.5000, 0.0000)  2 Cu 1.94
O (0.0000, 0.0000, 0.6234)  2 Ti 1.96-1.97
O (0.0000, 0.0000, 0.3766)  2 Ti 1.96-1.97
O (0.5000, 0.0000, 0.5000)  2 Ti 1.94
O (0.0000, 0.5000, 0.5000)  2 Ti 1.94

Properties
As for the crystal system: tetragonal. The energy relative to the elements comes out at -3.308 eV per atom. As for the space-group type: P4/mmm, No. 123.

---

No. 7
Computed, not measured: a geometry-optimized CaMg14Cu structure at the PBE level of DFT.

abc: 6.4243 6.4243 10.3199
angles: 90.00 90.00 120.00
Closest atoms and distances in Å follow each position.
Element x y z (fractional)
Ca (0.1667, 0.3333, 0.1250)  12 Mg 3.21-3.31
Mg (0.1764, 0.8382, 0.1250)  10 Mg 3.12-3.32, 2 Ca 3.21
Mg (0.1618, 0.8309, 0.6250)  10 Mg 3.05-3.26, 2 Cu 3.21
Mg (0.6618, 0.3236, 0.1250)  10 Mg 3.12-3.32, 2 Ca 3.21
Mg (0.6691, 0.3382, 0.6250)  10 Mg 3.05-3.26, 2 Cu 3.21
Mg (0.6618, 0.8382, 0.1250)  10 Mg 3.12-3.32, 2 Ca 3.21
Mg (0.6691, 0.8309, 0.6250)  10 Mg 3.05-3.26, 2 Cu 3.21
Mg (0.3308, 0.1692, 0.3925)  1 Cu 3.02, 10 Mg 3.05-3.32, 1 Ca 3.31
Mg (0.3308, 0.1692, 0.8575)  1 Cu 3.02, 10 Mg 3.05-3.32, 1 Ca 3.31
Mg (0.3308, 0.6616, 0.3925)  1 Cu 3.02, 10 Mg 3.05-3.32, 1 Ca 3.31
Mg (0.3308, 0.6616, 0.8575)  1 Cu 3.02, 10 Mg 3.05-3.32, 1 Ca 3.31
Mg (0.8384, 0.1692, 0.3925)  1 Cu 3.02, 10 Mg 3.05-3.32, 1 Ca 3.31
Mg (0.8384, 0.1692, 0.8575)  1 Cu 3.02, 10 Mg 3.05-3.32, 1 Ca 3.31
Mg (0.8333, 0.6667, 0.3686)  12 Mg 3.16-3.22
Mg (0.8333, 0.6667, 0.8814)  12 Mg 3.16-3.22
Cu (0.1667, 0.3333, 0.6250)  12 Mg 3.02-3.21

Properties
As for the crystal system: hexagonal. The energy relative to the elements comes out at 0.032 eV per atom. As for the space-group type: P-6m2, No. 187. Its energy above the lowest structure with this stoichiometry is 0.6 kJ/mol of atoms.

---

No. 8
Computed, not measured: a geometry-optimized CaMg14Cu structure at the PBE level of DFT.

abc: 6.4290 6.3415 10.3408
angles: 90.00 90.00 119.55
Closest atoms and distances in Å follow each position.
Element x y z (fractional)
Ca (0.1560, 0.3280, 0.1250)  2 Cu 3.17, 10 Mg 3.19-3.25
Mg (0.1682, 0.3341, 0.6250)  12 Mg 3.11-3.24
Mg (0.1640, 0.8320, 0.6250)  12 Mg 3.15-3.30
Mg (0.6523, 0.3136, 0.1250)  8 Mg 3.01-3.33, 1 Cu 3.05, 2 Ca 3.19-3.24
Mg (0.6652, 0.3358, 0.6250)  12 Mg 3.09-3.35
Mg (0.6523, 0.8387, 0.1250)  8 Mg 3.01-3.33, 1 Cu 3.05, 2 Ca 3.19-3.24
Mg (0.6652, 0.8294, 0.6250)  12 Mg 3.09-3.35
Mg (0.3356, 0.1607, 0.3766)  10 Mg 3.08-3.30, 1 Cu 3.15, 1 Ca 3.23
Mg (0.3356, 0.1607, 0.8734)  10 Mg 3.08-3.30, 1 Cu 3.15, 1 Ca 3.23
Mg (0.3356, 0.6749, 0.3766)  10 Mg 3.08-3.30, 1 Cu 3.15, 1 Ca 3.23
Mg (0.3356, 0.6749, 0.8734)  10 Mg 3.08-3.30, 1 Cu 3.15, 1 Ca 3.23
Mg (0.8313, 0.1657, 0.3856)  11 Mg 3.09-3.26, 1 Ca 3.25
Mg (0.8313, 0.1657, 0.8644)  11 Mg 3.09-3.26, 1 Ca 3.25
Mg (0.8468, 0.6734, 0.3562)  1 Cu 3.03, 11 Mg 3.11-3.35
Mg (0.8468, 0.6734, 0.8938)  1 Cu 3.03, 11 Mg 3.11-3.35
Cu (0.1782, 0.8391, 0.1250)  10 Mg 3.03-3.38, 2 Ca 3.17

Properties
As for the crystal system: orthorhombic. The energy relative to the elements comes out at 0.026 eV per atom. As for the space-group type: Amm2, No. 38. Its energy above the lowest structure with this stoichiometry is 0.0 kJ/mol of atoms.

---

no.,electronic total energy (eV for the cell shown)
1,-131.9
2,-125.4
3,-123.4
4,-96.7
5,-150.2
6,-159.0
7,-28.0
8,-28.1